Record 1
DFT (PBE-GGA) results for RbDyI3 after structural relaxation.

abc: 8.2840 8.2840 11.7573
angles: 90.00 90.00 148.65
Fractional positions:
Rb1 0.2463 0.7537 0.7500
Rb2 0.7537 0.2463 0.2500
Dy1 0.0000 0.0000 0.0000
Dy2 0.0000 0.0000 0.5000
I1 0.0662 0.9338 0.2500
I2 0.3695 0.6305 0.0495
I3 0.3695 0.6305 0.4505
I4 0.6305 0.3695 0.5495
I5 0.6305 0.3695 0.9505
I6 0.9338 0.0662 0.7500

## Properties
- space group = No. 63
- excess energy over the best structure of this formula in the dataset (meV per atom) = 0

---

Record 2
DFT (PBE-GGA) results for RbDyI3 after structural relaxation.

abc: 8.7266 11.9821 8.2296
angles: 90.00 90.00 90.00
Fractional positions:
Rb1 0.0738 0.2500 0.0280
Rb2 0.4262 0.7500 0.5280
Rb3 0.5738 0.2500 0.4720
Rb4 0.9262 0.7500 0.9720
Dy1 0.0000 0.0000 0.5000
Dy2 0.0000 0.5000 0.5000
Dy3 0.5000 0.0000 0.0000
Dy4 0.5000 0.5000 0.0000
I1 0.0153 0.7500 0.4134
I2 0.2072 0.5418 0.7984
I3 0.2072 0.9582 0.7984
I4 0.2928 0.0418 0.2984
I5 0.2928 0.4582 0.2984
I6 0.4847 0.2500 0.9134
I7 0.5153 0.7500 0.0866
I8 0.7072 0.5418 0.7016
I9 0.7072 0.9582 0.7016
I10 0.7928 0.0418 0.2016
I11 0.7928 0.4582 0.2016
I12 0.9847 0.2500 0.5866

## Properties
- space group = No. 62
- excess energy over the best structure of this formula in the dataset (meV per atom) = 29

---

Record 3
DFT (PBE-GGA) results for DySI after structural relaxation.

abc: 4.1954 5.3484 10.6668
angles: 90.00 90.00 90.00
Fractional positions:
Dy1 0.2500 0.2500 0.1073
Dy2 0.7500 0.7500 0.8927
S1 0.2500 0.7500 0.0581
S2 0.7500 0.2500 0.9419
I1 0.2500 0.7500 0.6841
I2 0.7500 0.2500 0.3159

## Properties
- space group = No. 59

---

Record 4
DFT (PBE-GGA) results for DyIn after structural relaxation.

abc: 3.7640 3.7640 3.7640
angles: 90.00 90.00 90.00
Fractional positions:
Dy1 0.0000 0.0000 0.0000
In1 0.5000 0.5000 0.5000

## Properties
- space group = No. 221

---

Record 5
DFT (PBE-GGA) results for Dy4InIr after structural relaxation.

abc: 9.6700 9.6700 9.6700
angles: 60.00 60.00 60.00
Fractional positions:
Dy1 0.1884 0.1884 0.8116
Dy2 0.1884 0.8116 0.1884
Dy3 0.1884 0.8116 0.8116
Dy4 0.4009 0.4009 0.4009
Dy5 0.4009 0.4009 0.7974
Dy6 0.4009 0.7974 0.4009
Dy7 0.5605 0.5605 0.9395
Dy8 0.5605 0.9395 0.5605
Dy9 0.5605 0.9395 0.9395
Dy10 0.7974 0.4009 0.4009
Dy11 0.8116 0.1884 0.1884
Dy12 0.8116 0.1884 0.8116
Dy13 0.8116 0.8116 0.1884
Dy14 0.9395 0.5605 0.5605
Dy15 0.9395 0.5605 0.9395
Dy16 0.9395 0.9395 0.5605
In1 0.1672 0.1672 0.1672
In2 0.1672 0.1672 0.4983
In3 0.1672 0.4983 0.1672
In4 0.4983 0.1672 0.1672
Ir1 0.1746 0.6085 0.6085
Ir2 0.6085 0.1746 0.6085
Ir3 0.6085 0.6085 0.1746
Ir4 0.6085 0.6085 0.6085

## Properties
- space group = No. 216

---

Record 6
DFT (PBE-GGA) results for DyInIr after structural relaxation.

abc: 7.5126 7.5126 3.9749
angles: 90.00 90.00 120.00
Fractional positions:
Dy1 0.0000 0.4058 0.0000
Dy2 0.4058 0.0000 0.0000
Dy3 0.5942 0.5942 0.0000
In1 0.0000 0.7431 0.5000
In2 0.2569 0.2569 0.5000
In3 0.7431 0.0000 0.5000
Ir1 0.0000 0.0000 0.0000
Ir2 0.3333 0.6667 0.5000
Ir3 0.6667 0.3333 0.5000

## Properties
- space group = No. 189

---

Record 7
DFT (PBE-GGA) results for LiDy2In after structural relaxation.

abc: 7.4563 7.4563 7.4563
angles: 90.00 90.00 90.00
Fractional positions:
Li1 0.0000 0.0000 0.0000
Li2 0.0000 0.5000 0.5000
Li3 0.5000 0.0000 0.5000
Li4 0.5000 0.5000 0.0000
Dy1 0.2500 0.2500 0.2500
Dy2 0.2500 0.2500 0.7500
Dy3 0.2500 0.7500 0.2500
Dy4 0.2500 0.7500 0.7500
Dy5 0.7500 0.2500 0.2500
Dy6 0.7500 0.2500 0.7500
Dy7 0.7500 0.7500 0.2500
Dy8 0.7500 0.7500 0.7500
In1 0.0000 0.0000 0.5000
In2 0.0000 0.5000 0.0000
In3 0.5000 0.0000 0.0000
In4 0.5000 0.5000 0.5000

## Properties
- space group = No. 225

---

Record 8
DFT (PBE-GGA) results for DyMgIn after structural relaxation.

abc: 7.5382 7.5382 4.6763
angles: 90.00 90.00 120.00
Fractional positions:
Dy1 0.0000 0.5657 0.0000
Dy2 0.4343 0.4343 0.0000
Dy3 0.5657 0.0000 0.0000
Mg1 0.0000 0.2424 0.5000
Mg2 0.2424 0.0000 0.5000
Mg3 0.7576 0.7576 0.5000
In1 0.0000 0.0000 0.0000
In2 0.3333 0.6667 0.5000
In3 0.6667 0.3333 0.5000

## Properties
- space group = No. 189

---

no.,formation enthalpy at 0 K (eV per atom)
1,-1.464
2,-1.436
3,-2.112
4,-0.449
5,-0.583
6,-0.706
7,-0.260
8,-0.385